(1)
# Na3GeH11O9 | the Materials Project | PBE | optimized geometry
data_Na3GeH11O9
_cell_length_a 11.169
_cell_length_b 13.202
_cell_length_c 11.993
_cell_angle_alpha 90.00
_cell_angle_beta 90.00
_cell_angle_gamma 90.00
_symmetry_space_group_name_H-M 'P b c a'
_symmetry_Int_Tables_number 61
loop_
_symmetry_equiv_pos_as_xyz
'x,y,z'
'-x,-y,-z'
'-x+1/2,-y,z+1/2'
'x+1/2,y,-z+1/2'
'x+1/2,-y+1/2,-z'
'-x+1/2,y+1/2,z'
'-x,y+1/2,-z+1/2'
'x,-y+1/2,z+1/2'
loop_
_atom_site_label
_atom_site_fract_x
_atom_site_fract_y
_atom_site_fract_z
Na1 0.107 0.083 0.182
Na2 0.124 0.678 0.164
Na3 0.133 0.629 0.826
Ge1 0.129 0.131 0.479
H1 0.002 0.146 0.887
H2 0.003 0.505 0.112
H3 0.007 0.724 0.420
H4 0.125 0.601 0.577
H5 0.126 0.657 0.403
H6 0.149 0.192 0.691
H7 0.160 0.033 0.711
H8 0.164 0.241 0.813
H9 0.195 0.160 0.984
H10 0.199 0.528 0.327
H11 0.237 0.039 0.998
O1 0.042 0.070 0.368
O2 0.059 0.694 0.362
O3 0.067 0.604 0.641
O4 0.071 0.103 0.612
O5 0.103 0.240 0.943
O6 0.199 0.241 0.736
O7 0.221 0.589 0.466
O8 0.222 0.508 0.251
O9 0.240 0.612 0.014
# - mass density (Mg/m³) = 2.23
# - energy relative to the elements (eV/atom) = -1.5287
# - crystal system = orthorhombic
# - magnetization (μB per atom) = 0.00



(2)
# Ni9BiTeS8 | the Materials Project | PBE | optimized geometry
data_Ni9BiTeS8
_cell_length_a 7.317
_cell_length_b 7.317
_cell_length_c 5.356
_cell_angle_alpha 90.00
_cell_angle_beta 90.00
_cell_angle_gamma 90.00
_symmetry_space_group_name_H-M 'P 4/m m m'
_symmetry_Int_Tables_number 123
_symmetry_space_group_name_Hall '-P 4 2'
loop_
_atom_site_label
_atom_site_fract_x
_atom_site_fract_y
_atom_site_fract_z
Ni1 0.000 0.000 0.000
Ni2 0.181 0.500 0.251
Bi1 0.000 0.000 0.500
Te1 0.500 0.500 0.000
S1 0.000 0.315 0.000
S2 0.272 0.272 0.500
# - mass density (Mg/m³) = 6.49
# - energy relative to the elements (eV/atom) = -0.5455
# - crystal system = tetragonal
# - magnetization (μB per atom) = 0.01



(3)
# Rb2As3 | the Materials Project | PBE | optimized geometry
data_Rb2As3
_cell_length_a 9.324
_cell_length_b 10.306
_cell_length_c 15.551
_cell_angle_alpha 90.00
_cell_angle_beta 90.00
_cell_angle_gamma 90.00
_symmetry_space_group_name_H-M 'F m m m'
_symmetry_Int_Tables_number 69
_symmetry_space_group_name_Hall '-F 2 2'
loop_
_atom_site_label
_atom_site_fract_x
_atom_site_fract_y
_atom_site_fract_z
Rb1 0.000 0.238 0.000
Rb2 0.250 0.250 0.250
As1 0.000 0.000 0.343
As2 0.225 0.000 0.422
# - mass density (Mg/m³) = 3.52
# - energy relative to the elements (eV/atom) = -0.4136
# - crystal system = orthorhombic